[1]
Li6VSb3P6O24: relaxed, GGA+U.

abc: 8.577 8.580 8.610
angles: 65.25 65.40 64.82
Sites, in units of the cell vectors:
1 Li 0.000 0.000 0.000
2 Li 0.061 0.530 0.914
3 Li 0.344 0.169 0.740
4 Li 0.493 0.866 0.118
5 Li 0.723 0.291 0.478
6 Li 0.813 0.658 0.270
7 V 0.694 0.489 0.099
8 Sb 0.007 0.796 0.407
9 Sb 0.209 0.994 0.601
10 Sb 0.503 0.299 0.909
11 P 0.091 0.215 0.161
12 P 0.278 0.706 0.999
13 P 0.425 0.567 0.502
14 P 0.590 0.072 0.321
15 P 0.774 0.903 0.849
16 P 0.913 0.397 0.676
17 O 0.039 0.075 0.144
18 O 0.102 0.252 0.676
19 O 0.102 0.728 0.159
20 O 0.139 0.154 0.332
21 O 0.246 0.262 0.981
22 O 0.262 0.586 0.458
23 O 0.267 0.899 0.859
24 O 0.273 0.577 0.922
25 O 0.409 0.723 0.555
26 O 0.445 0.063 0.512
27 O 0.450 0.644 0.056
28 O 0.460 0.377 0.651
29 O 0.509 0.074 0.191
30 O 0.575 0.041 0.870
31 O 0.601 0.548 0.339
32 O 0.646 0.242 0.266
33 O 0.753 0.730 0.012
34 O 0.754 0.897 0.334
35 O 0.785 0.326 0.660
36 O 0.840 0.865 0.671
37 O 0.841 0.452 0.851
38 O 0.897 0.973 0.870
39 O 0.927 0.566 0.508
40 O 0.932 0.397 0.155

## Properties
As for the space-group type: No. 1. The MP2020-corrected energy comes out at -283.39 eV/cell. The calculation puts the formation enthalpy at 0 K at -2.4808 eV/atom. As for the density: 3.424 g/cm3.



[2]
Li4V2SiP2O12: relaxed, GGA+U.

abc: 8.997 9.007 14.388
angles: 71.91 71.90 60.10
Sites, in units of the cell vectors:
1 Li 0.000 0.000 0.000
2 Li 0.025 0.244 0.122
3 Li 0.118 0.561 0.610
4 Li 0.195 0.646 0.124
5 Li 0.230 0.292 0.248
6 Li 0.275 0.889 0.373
7 Li 0.359 0.988 0.863
8 Li 0.439 0.304 0.385
9 Li 0.480 0.510 0.498
10 Li 0.518 0.732 0.637
11 Li 0.620 0.048 0.126
12 Li 0.697 0.145 0.625
13 Li 0.719 0.783 0.749
14 Li 0.768 0.403 0.874
15 Li 0.870 0.489 0.361
16 Li 0.949 0.804 0.887
17 V 0.061 0.091 0.786
18 V 0.168 0.201 0.462
19 V 0.306 0.346 0.036
20 V 0.417 0.453 0.711
21 V 0.560 0.587 0.287
22 V 0.664 0.705 0.961
23 V 0.810 0.840 0.537
24 V 0.920 0.945 0.212
25 Si 0.158 0.599 0.372
26 Si 0.359 0.693 0.876
27 Si 0.408 0.146 0.624
28 Si 0.907 0.646 0.124
29 P 0.062 0.400 0.873
30 P 0.111 0.849 0.625
31 P 0.316 0.944 0.125
32 P 0.565 0.892 0.374
33 P 0.615 0.347 0.123
34 P 0.659 0.102 0.871
35 P 0.815 0.444 0.623
36 P 0.862 0.190 0.376
37 O 0.026 0.216 0.367
38 O 0.028 0.241 0.883
39 O 0.029 0.671 0.473
40 O 0.082 0.910 0.721
41 O 0.092 0.730 0.271
42 O 0.097 0.474 0.137
43 O 0.126 0.366 0.970
44 O 0.132 0.983 0.113
45 O 0.143 0.977 0.531
46 O 0.185 0.409 0.361
47 O 0.186 0.884 0.887
48 O 0.190 0.431 0.780
49 O 0.274 0.668 0.613
50 O 0.278 0.105 0.725
51 O 0.294 0.125 0.132
52 O 0.321 0.563 0.977
53 O 0.338 0.187 0.523
54 O 0.352 0.563 0.383
55 O 0.376 0.820 0.220
56 O 0.381 0.051 0.365
57 O 0.402 0.622 0.775
58 O 0.439 0.318 0.614
59 O 0.443 0.877 0.030
60 O 0.457 0.310 0.133
61 O 0.529 0.729 0.864
62 O 0.532 0.166 0.966
63 O 0.536 0.729 0.384
64 O 0.580 0.414 0.217
65 O 0.596 0.227 0.776
66 O 0.600 0.975 0.634
67 O 0.630 0.861 0.468
68 O 0.633 0.474 0.613
69 O 0.647 0.472 0.027
70 O 0.689 0.926 0.278
71 O 0.690 0.921 0.862
72 O 0.702 0.371 0.386
73 O 0.777 0.605 0.225
74 O 0.780 0.167 0.117
75 O 0.785 0.625 0.635
76 O 0.830 0.065 0.472
77 O 0.837 0.687 0.023
78 O 0.840 0.076 0.881
79 O 0.881 0.316 0.717
80 O 0.881 0.563 0.864
81 O 0.896 0.124 0.282
82 O 0.937 0.820 0.111
83 O 0.942 0.383 0.528
84 O 0.950 0.819 0.635

## Properties
As for the space-group type: No. 1. The MP2020-corrected energy comes out at -632.68 eV/cell. The calculation puts the formation enthalpy at 0 K at -2.7018 eV/atom. The value obtained for the relative energy among the computed polymorphs is 11 meV per atom. As for the density: 2.898 g/cm3.



[3]
Li4V2SiP2O12: relaxed, GGA+U.

abc: 8.516 8.516 8.624
angles: 117.29 117.29 63.87
Sites, in units of the cell vectors:
1 Li 0.021 0.979 0.500
2 Li 0.268 0.738 0.191
3 Li 0.372 0.442 0.747
4 Li 0.442 0.372 0.247
5 Li 0.633 0.977 0.385
6 Li 0.738 0.268 0.691
7 Li 0.977 0.633 0.885
8 Li 0.979 0.021 0.000
9 V 0.062 0.572 0.250
10 V 0.344 0.841 0.961
11 V 0.572 0.062 0.750
12 V 0.841 0.344 0.461
13 Si 0.760 0.946 0.137
14 Si 0.946 0.760 0.637
15 P 0.168 0.244 0.853
16 P 0.244 0.168 0.353
17 P 0.463 0.645 0.574
18 P 0.645 0.463 0.074
19 O 0.019 0.741 0.482
20 O 0.082 0.207 0.411
21 O 0.097 0.786 0.848
22 O 0.146 0.433 0.010
23 O 0.207 0.082 0.911
24 O 0.223 0.326 0.297
25 O 0.250 0.981 0.193
26 O 0.317 0.634 0.375
27 O 0.326 0.223 0.797
28 O 0.389 0.652 0.712
29 O 0.433 0.146 0.510
30 O 0.452 0.615 0.046
31 O 0.528 0.811 0.642
32 O 0.579 0.898 0.106
33 O 0.615 0.452 0.546
34 O 0.634 0.317 0.875
35 O 0.652 0.389 0.212
36 O 0.741 0.019 0.982
37 O 0.776 0.957 0.643
38 O 0.786 0.097 0.348
39 O 0.811 0.528 0.142
40 O 0.898 0.579 0.606
41 O 0.957 0.776 0.143
42 O 0.981 0.250 0.693

## Properties
As for the space-group type: No. 9. The MP2020-corrected energy comes out at -316.81 eV/cell. The calculation puts the formation enthalpy at 0 K at -2.7131 eV/atom. The value obtained for the relative energy among the computed polymorphs is 0 meV per atom. As for the density: 2.894 g/cm3.



[4]
Li4V2SiP2O12: relaxed, GGA+U.

abc: 8.487 9.007 12.390
angles: 90.00 94.92 90.00
Sites, in units of the cell vectors:
1 Li 0.000 0.010 0.000
2 Li 0.000 0.990 0.500
3 Li 0.213 0.299 0.043
4 Li 0.213 0.701 0.543
5 Li 0.313 0.215 0.450
6 Li 0.313 0.785 0.950
7 Li 0.516 0.493 0.999
8 Li 0.516 0.507 0.499
9 Li 0.527 0.416 0.753
10 Li 0.527 0.584 0.253
11 Li 0.714 0.215 0.048
12 Li 0.714 0.785 0.548
13 Li 0.778 0.308 0.446
14 Li 0.778 0.692 0.946
15 Li 0.995 0.096 0.759
16 Li 0.995 0.904 0.259
17 V 0.225 0.497 0.857
18 V 0.225 0.503 0.357
19 V 0.292 0.002 0.141
20 V 0.292 0.998 0.641
21 V 0.720 0.002 0.361
22 V 0.720 0.998 0.861
23 V 0.789 0.499 0.642
24 V 0.789 0.501 0.142
25 Si 0.505 0.296 0.249
26 Si 0.505 0.704 0.749
27 Si 0.861 0.352 0.898
28 Si 0.861 0.648 0.398
29 P 0.006 0.200 0.249
30 P 0.006 0.800 0.749
31 P 0.157 0.351 0.601
32 P 0.157 0.649 0.101
33 P 0.358 0.147 0.899
34 P 0.358 0.853 0.399
35 P 0.658 0.147 0.602
36 P 0.658 0.853 0.102
37 O 0.048 0.394 0.913
38 O 0.048 0.606 0.413
39 O 0.071 0.090 0.165
40 O 0.071 0.910 0.665
41 O 0.133 0.296 0.313
42 O 0.133 0.704 0.813
43 O 0.162 0.179 0.581
44 O 0.162 0.821 0.081
45 O 0.237 0.398 0.712
46 O 0.237 0.602 0.212
47 O 0.249 0.079 0.983
48 O 0.249 0.921 0.483
49 O 0.261 0.419 0.515
50 O 0.261 0.581 0.015
51 O 0.280 0.100 0.788
52 O 0.280 0.900 0.288
53 O 0.362 0.318 0.920
54 O 0.362 0.682 0.420
55 O 0.373 0.196 0.178
56 O 0.373 0.804 0.678
57 O 0.436 0.409 0.340
58 O 0.436 0.591 0.840
59 O 0.483 0.097 0.585
60 O 0.483 0.903 0.085
61 O 0.532 0.099 0.916
62 O 0.532 0.901 0.416
63 O 0.577 0.405 0.158
64 O 0.577 0.595 0.658
65 O 0.633 0.196 0.324
66 O 0.633 0.804 0.824
67 O 0.653 0.318 0.580
68 O 0.653 0.682 0.080
69 O 0.735 0.100 0.713
70 O 0.735 0.900 0.213
71 O 0.751 0.427 0.988
72 O 0.751 0.573 0.488
73 O 0.765 0.080 0.518
74 O 0.765 0.920 0.018
75 O 0.776 0.407 0.782
76 O 0.776 0.593 0.282
77 O 0.855 0.171 0.919
78 O 0.855 0.829 0.419
79 O 0.881 0.293 0.184
80 O 0.881 0.707 0.684
81 O 0.938 0.096 0.335
82 O 0.938 0.904 0.835
83 O 0.982 0.394 0.588
84 O 0.982 0.606 0.088

## Properties
As for the space-group type: No. 7. The MP2020-corrected energy comes out at -632.57 eV/cell. The calculation puts the formation enthalpy at 0 K at -2.7006 eV/atom. The value obtained for the relative energy among the computed polymorphs is 13 meV per atom. As for the density: 2.898 g/cm3.



[5]
Li4V2SiP2O12: relaxed, GGA+U.

abc: 8.480 8.981 12.414
angles: 90.04 94.60 90.00
Sites, in units of the cell vectors:
1 Li 0.000 0.000 0.000
2 Li 0.000 0.189 0.499
3 Li 0.238 0.787 0.316
4 Li 0.242 0.405 0.816
5 Li 0.273 0.308 0.204
6 Li 0.274 0.882 0.704
7 Li 0.464 0.678 0.996
8 Li 0.465 0.510 0.499
9 Li 0.488 0.580 0.251
10 Li 0.488 0.610 0.751
11 Li 0.686 0.880 0.304
12 Li 0.698 0.312 0.809
13 Li 0.786 0.798 0.715
14 Li 0.787 0.392 0.216
15 Li 0.998 0.099 0.257
16 Li 0.999 0.089 0.756
17 V 0.207 0.595 0.114
18 V 0.208 0.595 0.613
19 V 0.277 0.093 0.396
20 V 0.278 0.097 0.895
21 V 0.705 0.094 0.615
22 V 0.705 0.096 0.115
23 V 0.773 0.589 0.400
24 V 0.773 0.601 0.900
25 Si 0.137 0.446 0.357
26 Si 0.138 0.743 0.857
27 Si 0.494 0.391 0.008
28 Si 0.495 0.799 0.508
29 P 0.338 0.242 0.653
30 P 0.339 0.947 0.153
31 P 0.642 0.240 0.358
32 P 0.642 0.950 0.858
33 P 0.838 0.448 0.655
34 P 0.839 0.742 0.155
35 P 0.991 0.294 0.007
36 P 0.992 0.896 0.507
37 O 0.012 0.493 0.664
38 O 0.014 0.697 0.167
39 O 0.058 0.000 0.420
40 O 0.058 0.189 0.920
41 O 0.116 0.387 0.073
42 O 0.120 0.805 0.573
43 O 0.143 0.264 0.336
44 O 0.145 0.925 0.836
45 O 0.221 0.684 0.972
46 O 0.222 0.503 0.472
47 O 0.234 0.015 0.239
48 O 0.234 0.175 0.739
49 O 0.247 0.668 0.767
50 O 0.248 0.519 0.267
51 O 0.257 0.196 0.543
52 O 0.260 0.994 0.043
53 O 0.341 0.776 0.175
54 O 0.343 0.413 0.675
55 O 0.365 0.292 0.935
56 O 0.366 0.898 0.435
57 O 0.421 0.504 0.096
58 O 0.422 0.687 0.597
59 O 0.470 0.001 0.843
60 O 0.470 0.189 0.343
61 O 0.512 0.191 0.666
62 O 0.515 0.993 0.168
63 O 0.563 0.687 0.416
64 O 0.564 0.503 0.917
65 O 0.624 0.291 0.080
66 O 0.626 0.898 0.579
67 O 0.635 0.412 0.337
68 O 0.635 0.778 0.837
69 O 0.724 0.995 0.968
70 O 0.725 0.194 0.468
71 O 0.735 0.674 0.242
72 O 0.736 0.517 0.742
73 O 0.749 0.016 0.773
74 O 0.749 0.174 0.272
75 O 0.755 0.493 0.545
76 O 0.759 0.697 0.045
77 O 0.833 0.276 0.676
78 O 0.835 0.914 0.176
79 O 0.866 0.390 0.944
80 O 0.867 0.797 0.446
81 O 0.926 0.182 0.091
82 O 0.928 0.008 0.591
83 O 0.949 0.485 0.343
84 O 0.949 0.706 0.843

## Properties
As for the space-group type: No. 1. The MP2020-corrected energy comes out at -632.61 eV/cell. The calculation puts the formation enthalpy at 0 K at -2.7010 eV/atom. The value obtained for the relative energy among the computed polymorphs is 12 meV per atom. As for the density: 2.901 g/cm3.



[6]
Li4V2SiP2O12: relaxed, GGA+U.

abc: 8.479 8.479 8.492
angles: 115.92 115.92 64.38
Sites, in units of the cell vectors:
1 Li 0.000 0.000 0.000
2 Li 0.085 0.500 0.090
3 Li 0.171 0.400 0.593
4 Li 0.341 0.163 0.240
5 Li 0.500 0.915 0.910
6 Li 0.600 0.829 0.407
7 Li 0.681 0.319 0.500
8 Li 0.837 0.659 0.760
9 V 0.193 0.020 0.390
10 V 0.479 0.304 0.109
11 V 0.696 0.521 0.891
12 V 0.980 0.807 0.610
13 Si 0.088 0.208 0.795
14 Si 0.792 0.912 0.205
15 P 0.293 0.707 0.000
16 P 0.384 0.616 0.500
17 P 0.588 0.110 0.704
18 P 0.890 0.412 0.296
19 O 0.034 0.035 0.771
20 O 0.079 0.258 0.309
21 O 0.101 0.721 0.848
22 O 0.143 0.180 0.621
23 O 0.225 0.645 0.560
24 O 0.245 0.239 0.000
25 O 0.279 0.899 0.152
26 O 0.328 0.551 0.069
27 O 0.355 0.775 0.440
28 O 0.406 0.424 0.348
29 O 0.440 0.089 0.509
30 O 0.449 0.672 0.931
31 O 0.518 0.141 0.858
32 O 0.576 0.594 0.652
33 O 0.592 0.077 0.187
34 O 0.650 0.273 0.739
35 O 0.727 0.350 0.261
36 O 0.742 0.921 0.691
37 O 0.761 0.755 0.000
38 O 0.820 0.857 0.379
39 O 0.859 0.482 0.142
40 O 0.911 0.560 0.491
41 O 0.923 0.408 0.813
42 O 0.965 0.966 0.229

## Properties
As for the space-group type: No. 5. The MP2020-corrected energy comes out at -316.26 eV/cell. The calculation puts the formation enthalpy at 0 K at -2.6999 eV/atom. The value obtained for the relative energy among the computed polymorphs is 13 meV per atom. As for the density: 2.901 g/cm3.